No. 1
Density functional theory data (PBE-GGA) for a geometry-optimized Sr4Tl2CO9 structure.

```
Sr4Tl2CO9
1.0
-2.565 9.543 2.542
2.565 -9.543 2.542
2.565 9.543 -2.542
Sr Tl C O
4 2 1 9
Direct
0.111 0.000 0.111
0.401 0.015 0.387
0.628 0.015 0.613
0.889 0.000 0.889
0.252 0.499 0.753
0.746 0.499 0.247
0.011 0.511 0.500
0.147 0.505 0.641
0.246 0.997 0.249
0.266 0.766 0.500
0.364 0.498 0.865
0.633 0.498 0.135
0.747 0.997 0.751
0.864 0.505 0.359
0.881 0.163 0.281
0.881 0.600 0.719
```

Calculated values
Symmetry: Imm2 (44)
Energy with MP2020 corrections (hartree per atom): -0.2374
Energy of formation from the pure elements (kJ/mol of formula units): -3679
Spin magnetization (μB/f.u.): 0.00
DFT total energy (eV per atom): -6.07


No. 2
Density functional theory data (PBE-GGA) for a geometry-optimized LiNbP4O12 structure.

```
LiNbP4O12
1.0
4.990 -5.977 0.000
4.990 5.977 0.000
0.000 0.000 17.115
Li Nb P O
4 4 16 48
Direct
0.087 0.206 0.360
0.206 0.087 0.640
0.794 0.913 0.140
0.913 0.794 0.860
0.019 0.414 0.633
0.414 0.019 0.367
0.586 0.981 0.867
0.981 0.586 0.133
0.037 0.749 0.340
0.219 0.684 0.486
0.251 0.963 0.160
0.269 0.329 0.191
0.316 0.781 0.014
0.329 0.269 0.809
0.348 0.348 0.500
0.368 0.632 0.750
0.632 0.368 0.250
0.652 0.652 0.000
0.671 0.731 0.309
0.684 0.219 0.514
0.731 0.671 0.691
0.749 0.037 0.660
0.781 0.316 0.986
0.963 0.251 0.840
0.048 0.651 0.266
0.063 0.871 0.148
0.101 0.630 0.409
0.105 0.637 0.556
0.129 0.937 0.352
0.133 0.683 0.022
0.160 0.246 0.866
0.196 0.281 0.269
0.201 0.598 0.705
0.208 0.471 0.145
0.239 0.297 0.572
0.246 0.160 0.134
0.281 0.196 0.731
0.297 0.239 0.428
0.317 0.867 0.478
0.349 0.952 0.234
0.355 0.550 0.480
0.363 0.895 0.944
0.370 0.899 0.091
0.382 0.479 0.811
0.402 0.799 0.795
0.450 0.645 0.020
0.471 0.208 0.855
0.479 0.382 0.189
0.521 0.618 0.689
0.529 0.792 0.355
0.550 0.355 0.520
0.598 0.201 0.295
0.618 0.521 0.311
0.630 0.101 0.591
0.637 0.105 0.444
0.645 0.450 0.980
0.651 0.048 0.734
0.683 0.133 0.978
0.703 0.761 0.928
0.719 0.804 0.231
0.754 0.840 0.634
0.761 0.703 0.072
0.792 0.529 0.645
0.799 0.402 0.205
0.804 0.719 0.769
0.840 0.754 0.366
0.867 0.317 0.522
0.871 0.063 0.852
0.895 0.363 0.056
0.899 0.370 0.909
0.937 0.129 0.648
0.952 0.349 0.766
```

Calculated values
Symmetry: C222_1 (20)
Energy with MP2020 corrections (hartree per atom): -0.2839
Energy of formation from the pure elements (kJ/mol of formula units): -4442
Spin magnetization (μB/f.u.): 2.00
DFT total energy (eV per atom): -7.27


No. 3
Density functional theory data (PBE-GGA) for a geometry-optimized Zr2N2O structure.

```
Zr2N2O
1.0
8.861 0.000 0.000
-2.934 8.370 0.000
-2.955 -4.191 7.258
Zr N O
16 16 8
Direct
0.000 0.000 0.000
0.000 0.488 0.497
0.031 0.702 0.251
0.215 0.178 0.465
0.253 0.452 0.219
0.261 0.962 0.718
0.296 0.747 0.967
0.473 0.219 0.188
0.494 0.930 0.437
0.504 0.427 0.935
0.532 0.705 0.748
0.707 0.669 0.468
0.739 0.462 0.714
0.741 0.962 0.219
0.786 0.254 0.967
0.957 0.211 0.684
0.013 0.455 0.253
0.022 0.217 0.942
0.259 0.230 0.260
0.278 0.723 0.707
0.287 0.968 0.487
0.474 0.425 0.670
0.476 0.703 0.488
0.488 0.473 0.183
0.513 0.691 0.991
0.520 0.001 0.227
0.520 0.181 0.950
0.707 0.188 0.680
0.721 0.418 0.447
0.784 0.509 0.991
0.796 0.736 0.755
0.987 0.230 0.447
0.028 0.494 0.771
0.202 0.950 0.943
0.213 0.197 0.729
0.229 0.686 0.164
0.745 0.999 0.989
0.766 0.925 0.454
0.972 0.913 0.203
0.973 0.740 0.477
```

Calculated values
Symmetry: P1 (1)
Energy with MP2020 corrections (hartree per atom): -0.3650
Energy of formation from the pure elements (kJ/mol of formula units): -1056
DFT total energy (eV per atom): -9.80


No. 4
Density functional theory data (PBE-GGA) for a geometry-optimized Na5InO4 structure.

```
Na5InO4
1.0
7.465 0.000 0.000
0.000 7.706 0.000
0.000 0.000 5.534
Na In O
10 2 8
Direct
0.010 0.056 0.245
0.010 0.444 0.245
0.250 0.750 0.304
0.490 0.056 0.245
0.490 0.444 0.245
0.510 0.556 0.755
0.510 0.944 0.755
0.750 0.250 0.696
0.990 0.556 0.755
0.990 0.944 0.755
0.250 0.250 0.722
0.750 0.750 0.278
0.012 0.250 0.922
0.250 0.017 0.518
0.250 0.483 0.518
0.488 0.250 0.922
0.512 0.750 0.078
0.750 0.517 0.482
0.750 0.983 0.482
0.988 0.750 0.078
```

Calculated values
Symmetry: Pmmn (59)
Energy with MP2020 corrections (hartree per atom): -0.1689
Energy of formation from the pure elements (kJ/mol of formula units): -1621
DFT total energy (eV per atom): -4.32


No. 5
Density functional theory data (PBE-GGA) for a geometry-optimized TaAlZn structure.

```
TaAlZn
1.0
8.341 0.000 0.000
0.000 2.539 4.339
0.000 -2.539 4.339
Ta Al Zn
4 4 4
Direct
0.184 0.000 0.000
0.309 0.671 0.671
0.691 0.671 0.671
0.816 0.000 0.000
0.000 0.504 0.989
0.000 0.989 0.504
0.257 0.337 0.337
0.743 0.337 0.337
0.000 0.502 0.502
0.500 0.162 0.162
0.500 0.162 0.681
0.500 0.681 0.162
```

Calculated values
Symmetry: Amm2 (38)
Energy of formation from the pure elements (kJ/mol of formula units): -71
DFT total energy (eV per atom): -5.86


No. 6
Density functional theory data (PBE-GGA) for a geometry-optimized CoHgS4 structure.

```
CoHgS4
1.0
-3.593 3.593 2.555
3.593 -3.593 2.555
3.593 3.593 -2.555
Co Hg S
1 1 4
Direct
0.000 0.000 0.000
0.750 0.250 0.500
0.034 0.048 0.653
0.395 0.381 0.347
0.619 0.966 0.014
0.952 0.605 0.986
```

Calculated values
Symmetry: I-4 (82)
Energy with MP2020 corrections (hartree per atom): -0.1501
Energy of formation from the pure elements (kJ/mol of formula units): -52
Spin magnetization (μB/f.u.): 0.64
DFT total energy (eV per atom): -3.75


- DFT total energy of number 4 (Na5InO4)?
  -4.32 eV per atom


- DFT total energy of number 2 (LiNbP4O12)?
  -7.27 eV per atom


- The lowest energy of formation from the pure elements belongs to which entry?
  LiNbP4O12